# 1
A plane-wave DFT calculation with GGA+U was carried out for a geometry-optimized Li7Mn2Co3O12 structure.

Values from the calculation:
**Symmetry**: P1, No. 1
**Formation enthalpy at 0 K**: -182.04 kJ per mole of atoms
**E**: -5.8822 eV per atom

Lattice parameters (Å, degrees): 5.8853 5.8957 7.6777 100.56 100.69 119.71
Sites, in units of the cell vectors:
1 O 0.0774 0.2201 0.8287
2 O 0.7740 0.7645 0.5061
3 O 0.7525 0.2229 0.5016
4 O 0.2338 0.2257 0.5107
5 O 0.0865 0.7780 0.8403
6 O 0.4314 0.7700 0.1594
7 O 0.2493 0.7643 0.5177
8 O 0.6176 0.7867 0.8386
9 O 0.3909 0.2335 0.1522
10 O 0.5503 0.2175 0.8232
11 O 0.9158 0.7784 0.1600
12 O 0.9191 0.2373 0.1563
13 Li 0.3334 0.5014 0.3313
14 Li 0.3304 0.0009 0.3331
15 Li 0.1651 0.4933 0.6644
16 Li 0.8324 0.4984 0.3345
17 Li 0.0127 0.5157 0.0108
18 Li 0.5039 0.5047 0.0020
19 Li 0.6554 0.4866 0.6581
20 Mn 0.0069 0.0071 0.0021
21 Mn 0.1659 0.9954 0.6631
22 Co 0.8387 0.0006 0.3343
23 Co 0.5003 0.9998 0.0135
24 Co 0.6560 0.9970 0.6578


# 2
A plane-wave DFT calculation with GGA+U was carried out for a geometry-optimized Li5Mn2CoO8 structure.

Values from the calculation:
**Symmetry**: P-1, No. 2
**Formation enthalpy at 0 K**: -185.23 kJ per mole of atoms
**E**: -5.9254 eV per atom

Lattice parameters (Å, degrees): 3.0056 5.0453 9.8134 77.66 87.66 87.60
Sites, in units of the cell vectors:
1 O 0.5144 0.3866 0.3906
2 O 0.9729 0.3677 0.8863
3 O 0.9931 0.8304 0.3883
4 O 0.5339 0.1340 0.1189
5 O 0.0069 0.1696 0.6117
6 O 0.0271 0.6323 0.1137
7 O 0.4661 0.8660 0.8811
8 O 0.4856 0.6134 0.6094
9 Mn 0.0000 0.0000 0.0000
10 Mn 0.5000 0.5000 0.0000
11 Li 0.5000 0.0000 0.5000
12 Li 0.0033 0.7641 0.7338
13 Li 0.5063 0.7473 0.2653
14 Li 0.4937 0.2527 0.7347
15 Li 0.9967 0.2359 0.2662
16 Co 0.0000 0.5000 0.5000


# 3
A plane-wave DFT calculation with GGA+U was carried out for a geometry-optimized Li7Mn2Co3O12 structure.

Values from the calculation:
**Symmetry**: P-1, No. 2
**Formation enthalpy at 0 K**: -178.14 kJ per mole of atoms
**E**: -5.8418 eV per atom

Lattice parameters (Å, degrees): 4.9732 5.0176 9.7872 100.69 87.76 116.99
Sites, in units of the cell vectors:
1 O 0.5126 0.1475 0.8820
2 O 0.4668 0.3747 0.6154
3 O 0.1592 0.9762 0.3836
4 O 0.4874 0.8525 0.1180
5 O 0.8408 0.0238 0.6164
6 O 0.1832 0.4800 0.8849
7 O 0.8168 0.5200 0.1151
8 O 0.1826 0.2142 0.1052
9 O 0.8174 0.7858 0.8948
10 O 0.5332 0.6253 0.3846
11 O 0.8773 0.3226 0.3873
12 O 0.1227 0.6774 0.6127
13 Li 0.5000 0.0000 0.5000
14 Li 0.8230 0.4085 0.7413
15 Li 0.5026 0.7536 0.7435
16 Li 0.1782 0.0919 0.7434
17 Li 0.8218 0.9081 0.2566
18 Li 0.1770 0.5915 0.2587
19 Li 0.4974 0.2464 0.2565
20 Co 0.8365 0.6788 0.4965
21 Co 0.5000 0.5000 0.0000
22 Co 0.1635 0.3212 0.5035
23 Mn 0.1695 0.8304 0.0005
24 Mn 0.8305 0.1696 0.9995


# 4
A plane-wave DFT calculation with GGA+U was carried out for a geometry-optimized Li6Mn5CoO12 structure.

Values from the calculation:
**Symmetry**: P-1, No. 2
**Formation enthalpy at 0 K**: -196.55 kJ per mole of atoms
**E**: -6.4340 eV per atom

Lattice parameters (Å, degrees): 5.0930 9.2560 10.1598 83.72 84.68 95.03
Sites, in units of the cell vectors:
1 O 0.1573 0.9753 0.6119
2 O 0.6915 0.9948 0.8826
3 O 0.2988 0.3399 0.1105
4 O 0.1976 0.4978 0.8817
5 O 0.3362 0.5322 0.3902
6 O 0.1558 0.6336 0.6118
7 O 0.7030 0.3355 0.8886
8 O 0.1404 0.3268 0.5987
9 O 0.6637 0.4680 0.6100
10 O 0.3410 0.8593 0.3923
11 O 0.8422 0.0249 0.3881
12 O 0.7013 0.6600 0.8895
13 O 0.8596 0.6734 0.4014
14 O 0.2173 0.1734 0.8790
15 O 0.7972 0.1719 0.1109
16 O 0.6586 0.1409 0.6076
17 O 0.8024 0.5021 0.1183
18 O 0.2971 0.6643 0.1113
19 O 0.6596 0.8010 0.6123
20 O 0.3086 0.0051 0.1173
21 O 0.8442 0.3666 0.3883
22 O 0.3403 0.1992 0.3877
23 O 0.7828 0.8265 0.1209
24 O 0.2028 0.8279 0.8891
25 Li 0.1153 0.1377 0.2331
26 Li 0.6130 0.6387 0.2334
27 Li 0.8831 0.1865 0.7654
28 Li 0.6141 0.9754 0.2332
29 Li 0.6186 0.3087 0.2326
30 Li 0.1105 0.4787 0.2349
31 Li 0.8897 0.5213 0.7652
32 Li 0.1172 0.8135 0.2344
33 Li 0.8849 0.8622 0.7668
34 Li 0.3815 0.6912 0.7673
35 Li 0.3871 0.3612 0.7665
36 Li 0.3861 0.0246 0.7668
37 Mn 0.4996 0.3350 0.4975
38 Mn 0.9969 0.1681 0.4960
39 Mn 0.4998 0.0002 0.5001
40 Mn 0.5001 0.6650 0.5026
41 Mn 0.4992 0.8352 0.0026
42 Mn 0.0027 0.8321 0.5041
43 Mn 0.0003 0.5002 0.5000
44 Mn 0.5010 0.1646 0.9974
45 Mn 0.0046 0.3341 0.9967
46 Mn 0.9954 0.6658 0.0033
47 Co 0.5000 0.4999 0.0000
48 Co 0.0001 0.9999 0.9999


# 5
A plane-wave DFT calculation with GGA+U was carried out for a geometry-optimized Li4MnCo2O7 structure.

Values from the calculation:
**Symmetry**: P1, No. 1
**Formation enthalpy at 0 K**: -176.54 kJ per mole of atoms
**E**: -5.8224 eV per atom

Lattice parameters (Å, degrees): 2.9716 8.0871 10.6564 78.33 85.82 89.00
Sites, in units of the cell vectors:
1 O 0.2479 0.8997 0.4450
2 O 0.1680 0.3188 0.7257
3 O 0.9800 0.2422 0.9953
4 O 0.4523 0.4736 0.1514
5 O 0.1739 0.8265 0.6965
6 O 0.5996 0.0534 0.8607
7 O 0.6851 0.1004 0.5616
8 O 0.5653 0.5107 0.8606
9 O 0.2637 0.3839 0.4208
10 O 0.4019 0.9518 0.1426
11 O 0.0280 0.7563 0.0029
12 O 0.8779 0.1871 0.2930
13 O 0.8324 0.6688 0.2768
14 O 0.7228 0.6250 0.5680
15 Li 0.1501 0.0764 0.7131
16 Li 0.0053 0.4967 0.0003
17 Li 0.1584 0.5687 0.7060
18 Li 0.2724 0.6363 0.4362
19 Li 0.8633 0.9283 0.2817
20 Li 0.5634 0.7747 0.8571
21 Li 0.7108 0.3672 0.5751
22 Li 0.4309 0.2185 0.1436
23 Mn 0.7073 0.8500 0.5744
24 Mn 0.0041 0.0009 0.9998
25 Co 0.4234 0.7121 0.1438
26 Co 0.2717 0.1450 0.4304
27 Co 0.5856 0.2985 0.8508
28 Co 0.8544 0.4284 0.2868


# 6
A plane-wave DFT calculation with GGA+U was carried out for a geometry-optimized Li4MnCo2O7 structure.

Values from the calculation:
**Symmetry**: P-1, No. 2
**Formation enthalpy at 0 K**: -179.84 kJ per mole of atoms
**E**: -5.8565 eV per atom

Lattice parameters (Å, degrees): 5.1162 5.1470 10.4351 84.75 76.70 70.44
Sites, in units of the cell vectors:
1 Li 0.5000 0.0000 0.5000
2 Li 0.8632 0.4961 0.7835
3 Li 0.4334 0.5025 0.6395
4 Li 0.5666 0.4975 0.3605
5 Li 0.2827 0.5007 0.9307
6 Li 0.7173 0.4993 0.0693
7 Li 0.0000 0.5000 0.5000
8 Li 0.1368 0.5039 0.2165
9 O 0.1733 0.2182 0.6514
10 O 0.2190 0.7741 0.5004
11 O 0.5240 0.7742 0.9277
12 O 0.4760 0.2258 0.0723
13 O 0.6348 0.2196 0.7774
14 O 0.8267 0.7818 0.3486
15 O 0.1022 0.7653 0.7785
16 O 0.0426 0.2284 0.9327
17 O 0.3652 0.7804 0.2226
18 O 0.9574 0.7716 0.0673
19 O 0.3064 0.2296 0.3539
20 O 0.7810 0.2259 0.4996
21 O 0.6936 0.7704 0.6461
22 O 0.8978 0.2347 0.2215
23 Mn 0.0662 0.0069 0.3600
24 Mn 0.9338 0.9931 0.6400
25 Co 0.2129 0.0050 0.0696
26 Co 0.3653 0.9961 0.7774
27 Co 0.7871 0.9950 0.9304
28 Co 0.6347 0.0039 0.2226


# 7
A plane-wave DFT calculation with GGA+U was carried out for a geometry-optimized Li4Mn3CoO8 structure.

Values from the calculation:
**Symmetry**: P-1, No. 2
**Formation enthalpy at 0 K**: -194.68 kJ per mole of atoms
**E**: -6.3725 eV per atom

Lattice parameters (Å, degrees): 5.0890 5.8545 6.0250 61.62 77.13 73.72
Sites, in units of the cell vectors:
1 O 0.2622 0.6317 0.1305
2 O 0.7746 0.8712 0.3337
3 O 0.2254 0.1288 0.6663
4 O 0.2538 0.0978 0.1413
5 O 0.7378 0.3683 0.8695
6 O 0.7518 0.4026 0.3697
7 O 0.2482 0.5974 0.6303
8 O 0.7462 0.9022 0.8587
9 Li 0.0000 0.5000 0.0000
10 Li 0.0000 0.0000 0.5000
11 Li 0.5172 0.2597 0.2272
12 Li 0.4828 0.7403 0.7728
13 Mn 0.5008 0.7538 0.2422
14 Mn 0.0000 0.5000 0.5000
15 Mn 0.4992 0.2462 0.7578
16 Co 0.0000 0.0000 0.0000


# 8
A plane-wave DFT calculation with GGA+U was carried out for a geometry-optimized Li6Mn3CoO10 structure.

Values from the calculation:
**Symmetry**: Cm, No. 8
**Formation enthalpy at 0 K**: -193.72 kJ per mole of atoms
**E**: -6.1086 eV per atom

Lattice parameters (Å, degrees): 12.2557 12.2557 5.2040 87.63 87.63 13.60
Sites, in units of the cell vectors:
1 O 0.0475 0.0475 0.6895
2 O 0.4555 0.4555 0.8527
3 O 0.5418 0.5418 0.1355
4 O 0.9488 0.9488 0.3117
5 O 0.6452 0.6452 0.4590
6 O 0.7546 0.7546 0.7200
7 O 0.1473 0.1473 0.9444
8 O 0.8524 0.8524 0.0878
9 O 0.2574 0.2574 0.2692
10 O 0.3454 0.3454 0.5501
11 Mn 0.0015 0.0015 0.9880
12 Mn 0.7963 0.7963 0.4244
13 Mn 0.3992 0.3992 0.2047
14 Li 0.1070 0.1070 0.2817
15 Li 0.2939 0.2939 0.8984
16 Li 0.8975 0.8975 0.7076
17 Li 0.6946 0.6946 0.1028
18 Li 0.5043 0.5043 0.5020
19 Li 0.2001 0.2001 0.6062
20 Co 0.6096 0.6096 0.7644


# 9
A plane-wave DFT calculation with GGA+U was carried out for a geometry-optimized Li7Mn2Co3O12 structure.

Values from the calculation:
**Symmetry**: P-1, No. 2
**Formation enthalpy at 0 K**: -182.65 kJ per mole of atoms
**E**: -5.8886 eV per atom

Lattice parameters (Å, degrees): 5.9071 12.5961 6.5648 78.44 115.93 89.87
Sites, in units of the cell vectors:
1 Co 0.6667 0.8333 0.8333
2 Co 0.8385 0.6709 0.6704
3 Co 0.4950 0.4960 0.4949
4 Co 0.8384 0.1707 0.1718
5 Co 0.6667 0.3333 0.3333
6 Co 0.4948 0.9957 0.9963
7 O 0.6537 0.5003 0.2711
8 O 0.2079 0.6645 0.8959
9 O 0.3486 0.0054 0.2271
10 O 0.5515 0.3416 0.5708
11 O 0.0294 0.3451 0.5705
12 O 0.3040 0.3216 0.0962
13 O 0.7808 0.8234 0.5995
14 O 0.2070 0.1643 0.3960
15 O 0.9848 0.6613 0.4396
16 O 0.9832 0.1608 0.9397
17 O 0.8741 0.5078 0.7266
18 O 0.4593 0.1588 0.9401
19 O 0.3047 0.8223 0.5968
20 O 0.7819 0.3251 0.0958
21 O 0.6796 0.1664 0.3955
22 O 0.0286 0.8444 0.0698
23 O 0.8728 0.0074 0.2269
24 O 0.6532 0.0014 0.7691
25 O 0.1255 0.0021 0.7707
26 O 0.4606 0.6593 0.4398
27 O 0.5525 0.8432 0.0672
28 O 0.3501 0.5058 0.7270
29 O 0.6801 0.6652 0.8976
30 O 0.1263 0.5024 0.2706
31 Li 0.5693 0.6697 0.1560
32 Li 0.4119 0.3312 0.8318
33 Li 0.1667 0.3333 0.3333
34 Li 0.7640 0.9970 0.5106
35 Li 0.4095 0.8314 0.3325
36 Li 0.1667 0.8333 0.8333
37 Li 0.2398 0.4965 0.0023
38 Li 0.0921 0.6702 0.1635
39 Li 0.9214 0.3354 0.8348
40 Li 0.9238 0.8352 0.3342
41 Li 0.0936 0.1702 0.6644
42 Li 0.2412 0.9964 0.5032
43 Li 0.5686 0.1701 0.6569
44 Li 0.7648 0.4966 0.0097
45 Mn 0.0022 0.4987 0.4962
46 Mn 0.3312 0.1680 0.1705
47 Mn 0.0008 0.9990 0.9954
48 Mn 0.3325 0.6677 0.6713


# 10
A plane-wave DFT calculation with GGA+U was carried out for a geometry-optimized LiMnCo3O8 structure.

Values from the calculation:
**Symmetry**: P1, No. 1
**Formation enthalpy at 0 K**: -140.44 kJ per mole of atoms
**E**: -6.0633 eV per atom

Lattice parameters (Å, degrees): 5.7443 5.9832 9.9016 75.15 90.05 118.57
Sites, in units of the cell vectors:
1 Mn 0.0010 0.9997 0.0001
2 Mn 0.4992 0.0005 0.4998
3 O 0.9033 0.8085 0.3550
4 O 0.8358 0.2021 0.3780
5 O 0.0973 0.1928 0.1383
6 O 0.0957 0.1931 0.6452
7 O 0.6395 0.8012 0.6205
8 O 0.6568 0.8046 0.1165
9 O 0.3589 0.1997 0.3789
10 O 0.9047 0.8071 0.8614
11 O 0.3459 0.1938 0.8838
12 O 0.4045 0.8063 0.8618
13 O 0.1523 0.8051 0.1165
14 O 0.5964 0.1920 0.1383
15 O 0.8491 0.1938 0.8839
16 O 0.4042 0.8095 0.3588
17 O 0.1622 0.7994 0.6217
18 O 0.5944 0.1902 0.6419
19 Co 0.2511 0.9979 0.7524
20 Co 0.5006 0.9990 0.0002
21 Co 0.0000 0.0017 0.5001
22 Co 0.7491 0.0021 0.2478
23 Co 0.2521 0.0012 0.2478
24 Co 0.7475 0.9980 0.7524
25 Li 0.7468 0.4962 0.2540
26 Li 0.2517 0.5046 0.7450


# 11
A plane-wave DFT calculation with GGA+U was carried out for a geometry-optimized Li7Mn2Co3O12 structure.

Values from the calculation:
**Symmetry**: P-1, No. 2
**Formation enthalpy at 0 K**: -176.89 kJ per mole of atoms
**E**: -5.8289 eV per atom

Lattice parameters (Å, degrees): 3.0251 5.1263 14.7870 95.67 94.10 104.19
Sites, in units of the cell vectors:
1 O 0.6528 0.5621 0.7907
2 O 0.6448 0.0597 0.2820
3 O 0.6408 0.7731 0.5458
4 O 0.0169 0.0957 0.8725
5 O 0.3472 0.4379 0.2093
6 O 0.3552 0.9403 0.7180
7 O 0.9831 0.9043 0.1275
8 O 0.6741 0.2903 0.0540
9 O 0.0350 0.6135 0.3787
10 O 0.3592 0.2269 0.4542
11 O 0.9650 0.3865 0.6213
12 O 0.3259 0.7097 0.9460
13 Mn 0.3362 0.3313 0.3306
14 Mn 0.6638 0.6687 0.6694
15 Li 0.9935 0.7534 0.2474
16 Li 0.0000 0.0000 0.0000
17 Li 0.3356 0.0868 0.5815
18 Li 0.6664 0.4094 0.9157
19 Li 0.6644 0.9132 0.4185
20 Li 0.0065 0.2466 0.7526
21 Li 0.3336 0.5906 0.0843
22 Co 0.3498 0.8392 0.8419
23 Co 0.6502 0.1608 0.1581
24 Co 0.0000 0.5000 0.5000


# 12
A plane-wave DFT calculation with GGA+U was carried out for a geometry-optimized Li4MnCo2O7 structure.

Values from the calculation:
**Symmetry**: P1, No. 1
**Formation enthalpy at 0 K**: -165.50 kJ per mole of atoms
**E**: -5.7079 eV per atom

Lattice parameters (Å, degrees): 4.9787 5.1015 10.6173 85.70 76.67 71.66
Sites, in units of the cell vectors:
1 Li 0.6459 0.5001 0.7110
2 Li 0.2206 0.5014 0.5583
3 Li 0.4986 0.4989 0.0022
4 Li 0.7890 0.5008 0.4209
5 Li 0.3441 0.5009 0.3011
6 Li 0.9236 0.5016 0.1487
7 Li 0.0755 0.4978 0.8550
8 Li 0.2829 0.0025 0.4299
9 O 0.5561 0.2435 0.4304
10 O 0.3928 0.2182 0.7242
11 O 0.1055 0.2345 0.2771
12 O 0.7019 0.2282 0.1272
13 O 0.0075 0.7604 0.4299
14 O 0.2650 0.2117 0.9927
15 O 0.4477 0.7757 0.5888
16 O 0.3121 0.7813 0.8583
17 O 0.8856 0.7796 0.7241
18 O 0.7512 0.7791 0.9908
19 O 0.8334 0.2150 0.8576
20 O 0.1680 0.7710 0.1291
21 O 0.6047 0.7745 0.2751
22 O 0.9633 0.2244 0.5890
23 Co 0.7176 0.0010 0.5653
24 Co 0.4309 0.9939 0.1507
25 Co 0.5739 0.9974 0.8569
26 Co 0.8568 0.0093 0.2926
27 Mn 0.0016 0.9981 0.9987
28 Mn 0.1444 0.9991 0.7141